Entry 1:
Material: NdFe4P12
Method: DFT, r²SCAN
State: relaxed

- Theoretical density: 5.2 g cm⁻³
- Crystal system: cubic
- Formation enthalpy at 0 K: -526 meV per atom

```
17
Lattice="-3.013 4.329 4.188 -4.656 -3.126 -3.729 3.443 -4.554 3.574" Properties=species:S:1:pos:R:3 pbc="T T T"
P -2.895 -0.732 0.139
P -5.140 -0.380 0.273
P -0.364 -2.750 1.115
P -3.507 1.647 2.963
P 0.913 -2.971 3.759
P -3.348 -3.387 -1.053
P -1.332 -2.619 3.894
P -3.223 -3.453 1.219
P -3.863 -0.601 2.918
P -0.720 -4.998 1.070
P -1.004 0.102 2.814
P -0.879 0.036 5.086
Nd 0.000 0.000 0.000
Fe 1.721 -2.277 1.787
Fe -1.507 2.165 2.094
Fe -2.328 -1.563 -1.865
Fe -2.114 -1.676 2.016
```

=====

Entry 2:
Material: NdFe2Si2
Method: DFT, r²SCAN
State: relaxed

- Theoretical density: 6.7 g cm⁻³
- Crystal system: tetragonal
- Formation enthalpy at 0 K: -441 meV per atom

```
5
Lattice="3.761 0.000 -1.392 -0.515 3.725 -1.392 -0.061 -0.070 5.612" Properties=species:S:1:pos:R:3 pbc="T T T"
Fe 0.523 2.759 1.414
Fe 2.661 0.896 1.414
Si 2.070 2.376 -0.183
Si 1.114 1.279 3.011
Nd 0.000 0.000 0.000
```

=====

Entry 3:
Material: NdFeSi
Method: DFT, r²SCAN
State: relaxed

- Theoretical density: 6.6 g cm⁻³
- Crystal system: tetragonal
- Formation enthalpy at 0 K: -431 meV per atom

```
6
Lattice="-2.575 -2.899 -1.166 2.016 -2.696 2.250 -4.114 1.465 5.442" Properties=species:S:1:pos:R:3 pbc="T T T"
Fe -1.427 -2.848 -0.312
Fe 0.868 -2.746 1.396
Si -3.882 -2.962 5.394
Si -0.790 -1.167 1.131
Nd -2.981 -0.387 4.030
Nd -1.691 -3.743 2.496
```

=====

Entry 4:
Material: Fe2NiO4
Method: DFT, r²SCAN
State: relaxed

- Theoretical density: 5.5 g cm⁻³
- Crystal system: orthorhombic
- Formation enthalpy at 0 K: -1598 meV per atom

```
14
Lattice="5.081 0.015 2.919 1.697 4.799 2.939 -0.012 0.015 5.860" Properties=species:S:1:pos:R:3 pbc="T T T"
Ni 1.688 3.011 5.864
Ni 4.235 3.011 4.394
O 2.592 1.829 7.272
O 5.875 4.220 10.176
O 5.059 1.912 8.763
O 5.001 1.829 5.881
O 3.455 4.207 8.767
O 3.397 4.125 5.885
O 2.582 1.817 4.472
O 5.865 4.207 7.376
Fe 4.228 3.018 7.324
Fe 3.380 0.619 5.855
Fe 5.060 0.042 8.765
Fe 1.700 1.196 2.944
```

=====

Entry 5:
Material: ZnFe4NiO8
Method: DFT, r²SCAN
State: relaxed

- Theoretical density: 5.3 g cm⁻³
- Crystal system: trigonal
- Formation enthalpy at 0 K: -1549 meV per atom

```
14
Lattice="2.630 -4.691 2.590 2.663 2.768 -4.569 4.869 0.750 3.293" Properties=species:S:1:pos:R:3 pbc="T T T"
O 1.727 -0.765 0.543
O 2.949 -2.945 1.747
O 5.387 -2.730 3.343
O 4.187 -1.658 -0.376
O 3.978 -0.431 2.058
O 5.277 1.046 -0.190
O 2.974 0.709 -1.736
O 6.655 -1.412 1.168
Zn 5.310 -1.900 -1.956
Fe 6.950 0.275 0.318
Fe 4.830 1.524 -2.145
Fe 4.767 -2.188 1.452
Fe 3.475 0.115 0.180
Ni 7.235 -1.818 3.116
```

=====

Entry 6:
Material: Fe3NiP2
Method: DFT, r²SCAN
State: relaxed

- Theoretical density: 7.3 g cm⁻³
- Crystal system: orthorhombic
- Formation enthalpy at 0 K: -315 meV per atom

```
12
Lattice="2.245 2.204 -1.589 4.345 -2.174 3.125 1.085 -4.399 -4.569" Properties=species:S:1:pos:R:3 pbc="T T T"
P 5.436 -1.695 -0.532
P 2.239 -2.675 -2.502
P 2.979 0.547 -0.895
P 4.695 -4.914 -2.136
Ni 2.707 -2.072 -4.913
Ni 4.699 -2.426 -2.589
Fe 4.967 -2.284 1.897
Fe 2.790 -0.571 -2.713
Fe 2.982 -1.958 -0.456
Fe 4.565 -0.047 0.523
Fe 3.108 -4.321 -3.557
Fe 4.883 -3.797 -0.321
```

=====

Entry 7:
Material: V6FeNi
Method: DFT, r²SCAN
State: relaxed

- Theoretical density: 7.0 g cm⁻³
- Crystal system: cubic
- Formation enthalpy at 0 K: -111 meV per atom

```
8
Lattice="-4.016 -2.154 0.819 1.901 -4.027 -1.268 1.302 -0.763 4.377" Properties=species:S:1:pos:R:3 pbc="T T T"
Fe -0.406 -3.472 1.964
V 1.279 -2.206 0.470
V -2.352 -1.992 2.801
V -0.586 -4.088 -0.538
V -0.361 -0.924 2.395
V -1.529 -2.092 0.090
V 1.924 -2.584 2.640
Ni 0.000 0.000 0.000
```

=====

Entry 8:
Material: FeO
Method: DFT, r²SCAN
State: relaxed

- Theoretical density: 6.2 g cm⁻³
- Formation enthalpy at 0 K: -1247 meV per atom

```
4
Lattice="0.000 4.258 0.000 2.132 0.000 2.132 4.264 0.000 0.000" Properties=species:S:1:pos:R:3 pbc="T T T"
O 0.000 2.129 0.000
O 2.132 0.000 0.000
Fe 0.000 0.000 0.000
Fe 2.132 2.129 0.000
```

=====

| no. | V (Å³/f.u.) |
| --- | --- |
| 1 | 235.18 |
| 2 | 77.89 |
| 3 | 57.18 |
| 4 | 71.38 |
| 5 | 148.74 |
| 6 | 65.50 |
| 7 | 99.24 |
| 8 | 19.36 |